# Ba3CoC3N3 (PBE, relaxed)
# Formation enthalpy at 0 K = -0.698 eV/atom
# E (MP2020) = -145.07 eV per cell
# M_tot = 0.0 Bohr magnetons per cell
data_Ba3CoC3N3
_space_group_name_H-M_alt 'P 63/m'
_space_group_IT_number 176
_space_group_name_Hall '-P 6c'
_cell_length_a 9.1200
_cell_length_b 9.1200
_cell_length_c 5.8295
_cell_angle_alpha 90.00
_cell_angle_beta 90.00
_cell_angle_gamma 120.00
loop_
_atom_site_label
_atom_site_type_symbol
_atom_site_fract_x
_atom_site_fract_y
_atom_site_fract_z
Ba1 Ba 0.0698 0.3783 0.2500
Co1 Co 0.3333 0.6667 0.7500
C1 C 0.1554 0.4581 0.7500
N1 N 0.0335 0.3107 0.7500

# DyScSi (PBE, relaxed)
# Formation enthalpy at 0 K = -0.416 eV/atom
# E (MP2020) = -211.36 eV per cell
# M_tot = 0.3 Bohr magnetons per cell
data_DyScSi
_space_group_name_H-M_alt 'A m m 2'
_space_group_IT_number 38
_space_group_name_Hall 'A 2 -2'
_cell_length_a 6.148
_cell_length_b 14.543
_cell_length_c 9.122
_cell_angle_alpha 90.00
_cell_angle_beta 90.00
_cell_angle_gamma 90.00
loop_
_atom_site_label
_atom_site_type_symbol
_atom_site_fract_x
_atom_site_fract_y
_atom_site_fract_z
Dy1 Dy 0.000 0.000 0.000
Dy2 Dy 0.000 0.127 0.632
Dy3 Dy 0.500 0.000 0.443
Dy4 Dy 0.500 0.138 0.916
Sc1 Sc 0.249 0.154 0.251
Sc2 Sc 0.500 0.176 0.582
Si1 Si 0.000 0.000 0.342
Si2 Si 0.000 0.203 0.972
Si3 Si 0.310 0.000 0.730
Si4 Si 0.500 0.000 0.133

# CaAl12O19 (PBE, relaxed)
# Formation enthalpy at 0 K = -3.429 eV/atom
# E (MP2020) = -501.39 eV per cell
# M_tot = 0.0 Bohr magnetons per cell
data_CaAl12O19
_space_group_name_H-M_alt 'P 63 m c'
_space_group_IT_number 186
_space_group_name_Hall 'P 6c -2c'
_cell_length_a 5.6111
_cell_length_b 5.6111
_cell_length_c 22.0677
_cell_angle_alpha 90.00
_cell_angle_beta 90.00
_cell_angle_gamma 120.00
loop_
_atom_site_label
_atom_site_type_symbol
_atom_site_fract_x
_atom_site_fract_y
_atom_site_fract_z
Ca1 Ca 0.3333 0.6667 0.0000
Al1 Al 0.0000 0.0000 0.0077
Al2 Al 0.0000 0.0000 0.2512
Al3 Al 0.1678 0.3357 0.8606
Al4 Al 0.1691 0.3382 0.1420
Al5 Al 0.3333 0.6667 0.2793
Al6 Al 0.3333 0.6667 0.4417
Al7 Al 0.3333 0.6667 0.5598
Al8 Al 0.3333 0.6667 0.7229
O1 O 0.0000 0.0000 0.1005
O2 O 0.0000 0.0000 0.3995
O3 O 0.0064 0.5032 0.9003
O4 O 0.0069 0.5035 0.1017
O5 O 0.1548 0.3095 0.6984
O6 O 0.1554 0.3108 0.3027
O7 O 0.1813 0.3626 0.5014
O8 O 0.3333 0.6667 0.1963
O9 O 0.3333 0.6667 0.8054

# Mg2Cu2O5 (PBE, relaxed)
# Formation enthalpy at 0 K = -1.608 eV/atom
# E (MP2020) = -101.22 eV per cell
# M_tot = 0.8 Bohr magnetons per cell
# ΔE to the lowest computed polymorph = 73 meV/atom
data_Mg2Cu2O5
_space_group_name_H-M_alt 'P b a m'
_space_group_IT_number 55
_space_group_name_Hall '-P 2 2ab'
_cell_length_a 4.756
_cell_length_b 10.305
_cell_length_c 3.751
_cell_angle_alpha 90.00
_cell_angle_beta 90.00
_cell_angle_gamma 90.00
loop_
_atom_site_label
_atom_site_type_symbol
_atom_site_fract_x
_atom_site_fract_y
_atom_site_fract_z
Mg1 Mg 0.211 0.099 0.000
Cu1 Cu 0.213 0.366 0.500
O1 O 0.000 0.000 0.500
O2 O 0.178 0.674 0.500
O3 O 0.226 0.393 0.000